Entry a
{
  "formula": "MgTe4Mo3WSe2S2",
  "functional": "PBE",
  "state": "optimized geometry",
  "lattice_angstrom": [[-2.487, 1.451, 1.786], [1.919, -2.407, 1.415], [29.604, 32.389, 14.910]],
  "species": ["Te", "Te", "Te", "Te", "S", "S", "Se", "Se", "W", "Mo", "Mo", "Mo", "Mg"],
  "fractional_positions": [[0.333, 0.667, 0.623], [0.666, 0.333, 0.134], [0.334, 0.667, 0.704], [0.666, 0.333, 0.053], [0.667, 0.333, 0.428], [0.667, 0.334, 0.493], [0.333, 0.667, 0.318], [0.333, 0.666, 0.246], [0.333, 0.667, 0.461], [0.667, 0.333, 0.282], [0.333, 0.666, 0.094], [0.667, 0.334, 0.664], [0.000, 0.000, 0.560]]
}

---

Entry b
{
  "formula": "MgTe4Mo3WSe2S2",
  "functional": "PBE",
  "state": "optimized geometry",
  "lattice_angstrom": [[-2.795, 1.059, -1.626], [-0.236, -1.209, 3.172], [6.051, 40.369, 15.746]],
  "species": ["Mo", "Mo", "Mo", "Se", "Se", "Te", "Te", "Te", "Te", "S", "S", "W", "Mg"],
  "fractional_positions": [[0.335, 0.664, 0.475], [0.667, 0.333, 0.276], [0.333, 0.667, 0.093], [0.333, 0.668, 0.314], [0.333, 0.666, 0.239], [0.666, 0.335, 0.136], [0.333, 0.668, 0.701], [0.334, 0.666, 0.615], [0.667, 0.333, 0.050], [0.668, 0.331, 0.509], [0.669, 0.331, 0.440], [0.667, 0.333, 0.658], [0.996, 0.006, 0.383]]
}

---

So which one is most stable? That would be entry a, about 25 meV per atom below the next structure.

---

Entry a
{
  "formula": "MgTe4MoW3Se2S2",
  "functional": "PBE",
  "state": "optimized geometry",
  "lattice_angstrom": [[-2.911, -0.842, -1.519], [0.545, -0.880, 3.228], [-19.049, 40.279, 14.177]],
  "species": ["W", "W", "W", "S", "S", "Mo", "Se", "Se", "Mg", "Te", "Te", "Te", "Te"],
  "fractional_positions": [[0.333, 0.667, 0.461], [0.333, 0.667, 0.094], [0.667, 0.333, 0.664], [0.667, 0.333, 0.429], [0.667, 0.334, 0.493], [0.667, 0.333, 0.282], [0.667, 0.333, 0.129], [0.667, 0.333, 0.058], [0.000, 0.000, 0.558], [0.333, 0.667, 0.704], [0.333, 0.667, 0.322], [0.333, 0.666, 0.623], [0.333, 0.667, 0.242]]
}

---

Entry b
{
  "formula": "MgTe4MoW3Se2S2",
  "functional": "PBE",
  "state": "optimized geometry",
  "lattice_angstrom": [[-1.314, -1.338, -2.826], [2.561, -1.561, 1.585], [-30.561, -24.111, 25.626]],
  "species": ["S", "S", "W", "W", "W", "Te", "Te", "Te", "Te", "Se", "Se", "Mg", "Mo"],
  "fractional_positions": [[0.667, 0.333, 0.428], [0.667, 0.333, 0.493], [0.667, 0.333, 0.282], [0.333, 0.667, 0.461], [0.667, 0.333, 0.664], [0.333, 0.667, 0.241], [0.333, 0.667, 0.705], [0.333, 0.667, 0.322], [0.333, 0.667, 0.623], [0.667, 0.333, 0.129], [0.667, 0.333, 0.059], [0.000, 0.000, 0.559], [0.333, 0.667, 0.094]]
}

---

Entry c
{
  "formula": "MgTe4MoW3Se2S2",
  "functional": "PBE",
  "state": "optimized geometry",
  "lattice_angstrom": [[-2.295, -1.013, -2.281], [1.046, -2.138, 2.418], [-34.915, 15.072, 28.433]],
  "species": ["Te", "Te", "Te", "Te", "Se", "Se", "Mg", "W", "W", "W", "Mo", "S", "S"],
  "fractional_positions": [[0.333, 0.667, 0.697], [0.333, 0.667, 0.329], [0.333, 0.667, 0.618], [0.333, 0.667, 0.250], [0.666, 0.333, 0.120], [0.667, 0.333, 0.050], [0.000, 0.000, 0.186], [0.333, 0.667, 0.085], [0.667, 0.333, 0.657], [0.667, 0.333, 0.290], [0.333, 0.667, 0.470], [0.667, 0.333, 0.501], [0.667, 0.333, 0.438]]
}

---

So which one is most stable? That would be entry a, about 19 meV per atom below the next structure.

---

Entry a
{
  "formula": "MgTe4MoW3Se2S2",
  "functional": "PBE",
  "state": "optimized geometry",
  "lattice_angstrom": [[3.404, 0.000, 0.000], [-1.702, 2.948, 0.000], [0.000, -0.002, 44.753]],
  "species": ["Te", "Te", "Te", "Te", "S", "S", "Se", "Se", "W", "W", "W", "Mg", "Mo"],
  "fractional_positions": [[0.333, 0.667, 0.616], [0.667, 0.333, 0.052], [0.667, 0.333, 0.136], [0.333, 0.667, 0.700], [0.333, 0.667, 0.311], [0.333, 0.667, 0.244], [0.667, 0.333, 0.439], [0.667, 0.333, 0.513], [0.333, 0.667, 0.476], [0.667, 0.333, 0.658], [0.333, 0.667, 0.094], [0.000, 0.000, 0.364], [0.667, 0.333, 0.277]]
}

---

Entry b
{
  "formula": "MgTe4MoW3Se2S2",
  "functional": "PBE",
  "state": "optimized geometry",
  "lattice_angstrom": [[3.396, 0.000, 0.007], [-1.697, 2.941, -0.007], [0.083, -0.051, 44.673]],
  "species": ["Te", "Te", "Te", "Te", "Se", "Se", "Mg", "S", "S", "W", "W", "W", "Mo"],
  "fractional_positions": [[0.665, 0.335, 0.136], [0.335, 0.665, 0.615], [0.332, 0.668, 0.700], [0.668, 0.332, 0.052], [0.668, 0.332, 0.437], [0.666, 0.334, 0.511], [0.667, 0.333, 0.372], [0.330, 0.670, 0.308], [0.333, 0.667, 0.240], [0.665, 0.335, 0.274], [0.333, 0.667, 0.474], [0.667, 0.333, 0.658], [0.333, 0.667, 0.094]]
}

---

So which one is most stable? That would be entry b, about 29 meV per atom below the next structure.

---

Entry a
{
  "formula": "MgTe4MoW3Se2S2",
  "functional": "PBE",
  "state": "optimized geometry",
  "lattice_angstrom": [[-0.579, -1.073, 3.158], [-2.288, -0.571, -2.428], [17.229, -33.745, -8.301]],
  "species": ["Te", "Te", "Te", "Te", "W", "W", "W", "S", "S", "Se", "Se", "Mg", "Mo"],
  "fractional_positions": [[0.333, 0.667, 0.330], [0.333, 0.667, 0.233], [0.333, 0.667, 0.609], [0.333, 0.667, 0.706], [0.333, 0.667, 0.094], [0.333, 0.667, 0.470], [0.667, 0.333, 0.658], [0.667, 0.333, 0.431], [0.667, 0.333, 0.509], [0.667, 0.333, 0.137], [0.667, 0.333, 0.051], [0.708, 0.210, 0.882], [0.667, 0.333, 0.282]]
}

---

Entry b
{
  "formula": "MgTe4MoW3Se2S2",
  "functional": "PBE",
  "state": "optimized geometry",
  "lattice_angstrom": [[3.392, 0.000, 0.000], [-1.696, 2.937, 0.000], [0.000, -0.007, 46.089]],
  "species": ["Te", "Te", "Te", "Te", "Se", "Se", "W", "W", "W", "S", "S", "Mo", "Mg"],
  "fractional_positions": [[0.667, 0.333, 0.053], [0.667, 0.333, 0.135], [0.333, 0.667, 0.699], [0.333, 0.667, 0.617], [0.667, 0.334, 0.512], [0.666, 0.333, 0.440], [0.667, 0.333, 0.658], [0.333, 0.667, 0.476], [0.667, 0.333, 0.275], [0.333, 0.667, 0.242], [0.333, 0.667, 0.307], [0.333, 0.667, 0.094], [0.000, 0.000, 0.373]]
}

---

Entry c
{
  "formula": "MgTe4MoW3Se2S2",
  "functional": "PBE",
  "state": "optimized geometry",
  "lattice_angstrom": [[-0.368, 1.329, 3.107], [2.705, -1.933, -0.713], [23.111, 37.214, -13.178]],
  "species": ["Se", "Se", "W", "W", "W", "S", "S", "Te", "Te", "Te", "Te", "Mo", "Mg"],
  "fractional_positions": [[0.667, 0.333, 0.506], [0.667, 0.333, 0.433], [0.667, 0.334, 0.658], [0.333, 0.667, 0.470], [0.333, 0.667, 0.087], [0.333, 0.667, 0.321], [0.333, 0.667, 0.255], [0.667, 0.333, 0.128], [0.334, 0.667, 0.699], [0.333, 0.667, 0.616], [0.667, 0.333, 0.046], [0.667, 0.333, 0.289], [0.000, 0.000, 0.200]]
}

---

So which one is most stable? That would be entry b, about 17 meV per atom below the next structure.

---

Entry a
{
  "formula": "MgTe4MoW3Se2S2",
  "functional": "PBE",
  "state": "optimized geometry",
  "lattice_angstrom": [[-2.007, 1.610, -2.206], [-1.345, -1.542, 2.702], [4.432, 39.245, 24.602]],
  "species": ["W", "W", "W", "Mo", "Te", "Te", "Te", "Te", "S", "S", "Se", "Se", "Mg"],
  "fractional_positions": [[0.667, 0.334, 0.658], [0.333, 0.667, 0.479], [0.333, 0.666, 0.094], [0.667, 0.333, 0.275], [0.333, 0.667, 0.235], [0.333, 0.667, 0.316], [0.334, 0.667, 0.698], [0.333, 0.667, 0.617], [0.667, 0.333, 0.446], [0.667, 0.333, 0.511], [0.667, 0.333, 0.129], [0.666, 0.333, 0.058], [0.000, 0.000, 0.380]]
}

---

Entry b
{
  "formula": "MgTe4MoW3Se2S2",
  "functional": "PBE",
  "state": "optimized geometry",
  "lattice_angstrom": [[3.412, 0.000, -0.006], [-1.706, 2.955, 0.000], [-0.065, -0.037, 43.010]],
  "species": ["Te", "Te", "Te", "Te", "S", "S", "W", "W", "W", "Mo", "Se", "Se", "Mg"],
  "fractional_positions": [[0.331, 0.665, 0.614], [0.669, 0.335, 0.138], [0.336, 0.668, 0.701], [0.664, 0.332, 0.050], [0.336, 0.668, 0.242], [0.336, 0.668, 0.312], [0.667, 0.333, 0.658], [0.333, 0.667, 0.094], [0.333, 0.666, 0.474], [0.669, 0.335, 0.277], [0.668, 0.334, 0.512], [0.664, 0.332, 0.435], [0.672, 0.336, 0.365]]
}

---

Entry c
{
  "formula": "MgTe4MoW3Se2S2",
  "functional": "PBE",
  "state": "optimized geometry",
  "lattice_angstrom": [[-3.328, 0.189, 0.624], [1.262, -2.663, -1.679], [5.221, -18.614, 33.457]],
  "species": ["Se", "Se", "Mg", "W", "W", "W", "Te", "Te", "Te", "Te", "Mo", "S", "S"],
  "fractional_positions": [[0.667, 0.333, 0.427], [0.667, 0.333, 0.512], [0.293, 0.664, 0.874], [0.667, 0.333, 0.658], [0.333, 0.667, 0.094], [0.333, 0.667, 0.470], [0.667, 0.333, 0.143], [0.333, 0.667, 0.609], [0.667, 0.333, 0.045], [0.333, 0.667, 0.706], [0.667, 0.333, 0.282], [0.333, 0.667, 0.321], [0.333, 0.667, 0.243]]
}

---

So which one is most stable? That would be entry a, about 20 meV per atom below the next structure.

---

Entry a
{
  "formula": "MgTe2MoW3Se4S2",
  "functional": "PBE",
  "state": "optimized geometry",
  "lattice_angstrom": [[3.336, 0.000, 0.000], [-1.668, 2.889, -0.001], [0.000, -0.008, 45.980]],
  "species": ["Se", "Se", "Se", "Se", "S", "S", "W", "W", "W", "Mo", "Mg", "Te", "Te"],
  "fractional_positions": [[0.334, 0.667, 0.311], [0.333, 0.667, 0.621], [0.333, 0.667, 0.694], [0.333, 0.667, 0.238], [0.667, 0.333, 0.510], [0.666, 0.333, 0.444], [0.333, 0.666, 0.477], [0.667, 0.333, 0.275], [0.667, 0.333, 0.658], [0.333, 0.667, 0.094], [0.000, 0.000, 0.380], [0.667, 0.333, 0.052], [0.667, 0.334, 0.135]]
}

---

Entry b
{
  "formula": "MgTe2MoW3Se4S2",
  "functional": "PBE",
  "state": "optimized geometry",
  "lattice_angstrom": [[-2.381, -1.983, -1.235], [3.141, -1.101, 0.219], [-8.563, -15.759, 41.464]],
  "species": ["W", "W", "W", "Te", "Te", "Mg", "Se", "Se", "Se", "Se", "S", "S", "Mo"],
  "fractional_positions": [[0.666, 0.334, 0.276], [0.335, 0.664, 0.479], [0.667, 0.333, 0.657], [0.668, 0.332, 0.052], [0.665, 0.335, 0.136], [0.334, 0.666, 0.379], [0.334, 0.666, 0.620], [0.334, 0.666, 0.239], [0.332, 0.668, 0.314], [0.332, 0.668, 0.695], [0.668, 0.332, 0.512], [0.670, 0.330, 0.445], [0.333, 0.667, 0.094]]
}

---

Entry c
{
  "formula": "MgTe2MoW3Se4S2",
  "functional": "PBE",
  "state": "optimized geometry",
  "lattice_angstrom": [[-1.585, -2.273, 1.853], [3.118, -0.571, -1.032], [13.502, 16.418, 31.707]],
  "species": ["Se", "Se", "Se", "Se", "Te", "Te", "Mg", "W", "W", "W", "Mo", "S", "S"],
  "fractional_positions": [[0.333, 0.667, 0.702], [0.333, 0.667, 0.614], [0.333, 0.667, 0.238], [0.333, 0.667, 0.326], [0.666, 0.333, 0.144], [0.667, 0.333, 0.044], [0.628, 0.340, 0.866], [0.667, 0.333, 0.282], [0.667, 0.333, 0.658], [0.333, 0.667, 0.470], [0.333, 0.667, 0.094], [0.666, 0.333, 0.510], [0.667, 0.334, 0.430]]
}

---

So which one is most stable? That would be entry b, about 5 meV per atom below the next structure.

---

Entry a
{
  "formula": "MgMo3WSe2S6",
  "functional": "PBE",
  "state": "optimized geometry",
  "lattice_angstrom": [[-2.416, -1.833, 1.107], [2.496, -1.368, -1.524], [20.775, -4.433, 37.990]],
  "species": ["Mo", "Mo", "Mo", "S", "S", "S", "S", "S", "S", "Se", "Se", "W", "Mg"],
  "fractional_positions": [[0.667, 0.333, 0.288], [0.667, 0.334, 0.659], [0.333, 0.667, 0.087], [0.667, 0.333, 0.052], [0.667, 0.333, 0.505], [0.333, 0.666, 0.252], [0.667, 0.333, 0.433], [0.333, 0.666, 0.323], [0.667, 0.333, 0.123], [0.333, 0.667, 0.698], [0.333, 0.667, 0.620], [0.333, 0.667, 0.469], [0.000, 0.000, 0.187]]
}

---

Entry b
{
  "formula": "MgMo3WSe2S6",
  "functional": "PBE",
  "state": "optimized geometry",
  "lattice_angstrom": [[-2.218, -2.324, 0.187], [2.831, -0.587, -1.413], [14.053, -10.789, 32.639]],
  "species": ["Mg", "Se", "Se", "W", "Mo", "Mo", "Mo", "S", "S", "S", "S", "S", "S"],
  "fractional_positions": [[0.273, 0.742, 0.883], [0.333, 0.667, 0.613], [0.333, 0.666, 0.705], [0.333, 0.667, 0.469], [0.333, 0.667, 0.093], [0.667, 0.333, 0.659], [0.667, 0.333, 0.282], [0.667, 0.333, 0.511], [0.667, 0.333, 0.427], [0.667, 0.333, 0.135], [0.333, 0.667, 0.324], [0.667, 0.333, 0.052], [0.333, 0.667, 0.240]]
}

---

So which one is most stable? That would be entry a, about 21 meV per atom below the next structure.